one | MnZn4O5 | Materials Project | r²SCAN | relaxed; ρ = 5.44 g/cm3; V = 121.05 Å³/f.u.; magnetic moment = 0.0 Bohr magnetons per cell
1.0
-1.614 2.830 5.267
6.484 0.007 0.006
0.007 11.339 -5.275
O Zn Mn
20 16 4
Direct
0.181 0.545 0.287 O
0.579 0.645 0.689 O
0.771 0.943 0.890 O
0.636 0.908 0.254 O
0.181 0.045 0.287 O
0.235 0.810 0.864 O
0.370 0.341 0.490 O
0.972 0.243 0.091 O
0.370 0.841 0.490 O
0.579 0.145 0.689 O
0.038 0.008 0.655 O
0.835 0.706 0.461 O
0.771 0.443 0.890 O
0.636 0.408 0.254 O
0.038 0.508 0.655 O
0.835 0.206 0.461 O
0.972 0.743 0.091 O
0.441 0.610 0.057 O
0.235 0.310 0.864 O
0.441 0.110 0.057 O
0.471 0.868 0.967 Zn
0.339 0.334 0.332 Zn
0.067 0.766 0.566 Zn
0.067 0.266 0.566 Zn
0.532 0.131 0.534 Zn
0.669 0.667 0.165 Zn
0.139 0.034 0.132 Zn
0.669 0.167 0.165 Zn
0.931 0.233 0.936 Zn
0.532 0.631 0.534 Zn
0.339 0.834 0.332 Zn
0.471 0.368 0.967 Zn
0.931 0.733 0.936 Zn
0.740 0.435 0.732 Zn
0.139 0.534 0.132 Zn
0.740 0.935 0.732 Zn
0.270 0.069 0.769 Mn
0.270 0.569 0.769 Mn
0.871 0.464 0.365 Mn
0.871 0.964 0.365 Mn

two | MnZn4O5 | Materials Project | r²SCAN | relaxed; ρ = 5.41 g/cm3; V = 121.68 Å³/f.u.; magnetic moment = 19.9 Bohr magnetons per cell
1.0
3.087 0.718 0.778
-5.040 25.939 2.879
-1.324 -0.250 5.491
O Zn Mn
20 16 4
Direct
0.737 0.526 0.070 O
0.588 0.821 0.257 O
0.188 0.624 0.855 O
0.491 0.019 0.157 O
0.834 0.329 0.168 O
0.939 0.125 0.271 O
0.785 0.428 0.453 O
0.334 0.329 0.668 O
0.439 0.125 0.771 O
0.638 0.723 0.973 O
0.285 0.428 0.953 O
0.540 0.920 0.872 O
0.237 0.526 0.570 O
0.688 0.624 0.355 O
0.890 0.224 0.554 O
0.088 0.821 0.757 O
0.991 0.019 0.657 O
0.040 0.920 0.372 O
0.390 0.224 0.054 O
0.138 0.723 0.473 O
0.749 0.503 0.414 Zn
0.552 0.897 0.217 Zn
0.599 0.798 0.935 Zn
0.249 0.503 0.914 Zn
0.502 0.995 0.835 Zn
0.200 0.601 0.533 Zn
0.099 0.798 0.435 Zn
0.402 0.200 0.733 Zn
0.700 0.601 0.033 Zn
0.296 0.405 0.631 Zn
0.650 0.699 0.318 Zn
0.796 0.405 0.131 Zn
0.002 0.995 0.335 Zn
0.052 0.897 0.717 Zn
0.150 0.699 0.818 Zn
0.902 0.200 0.233 Zn
0.348 0.301 0.016 Mn
0.953 0.096 0.619 Mn
0.453 0.096 0.119 Mn
0.848 0.301 0.516 Mn

The most stable of them is one.

one | Mo2P3O13 | Materials Project | r²SCAN | relaxed; ρ = 2.96 g/cm3; V = 276.52 Å³/f.u.; magnetic moment = 2.0 Bohr magnetons per cell
1.0
8.789 0.000 0.000
-2.501 8.633 0.000
-3.141 -4.316 7.289
Mo P O
4 6 26
Direct
0.017 0.342 0.180 Mo
0.337 0.163 0.820 Mo
0.663 0.837 0.180 Mo
0.983 0.658 0.820 Mo
0.095 0.156 0.422 P
0.173 0.734 0.578 P
0.258 0.508 0.016 P
0.742 0.492 0.984 P
0.827 0.266 0.422 P
0.905 0.844 0.578 P
0.015 0.265 0.530 O
0.068 0.031 0.720 O
0.090 0.514 0.897 O
0.115 0.849 0.018 O
0.147 0.251 0.323 O
0.153 0.691 0.721 O
0.193 0.600 0.443 O
0.216 0.439 0.137 O
0.251 0.158 0.558 O
0.307 0.383 0.897 O
0.323 0.928 0.676 O
0.402 0.168 0.018 O
0.421 0.697 0.136 O
0.579 0.303 0.864 O
0.598 0.832 0.982 O
0.677 0.072 0.324 O
0.693 0.617 0.103 O
0.749 0.842 0.442 O
0.784 0.561 0.863 O
0.807 0.400 0.557 O
0.847 0.309 0.279 O
0.853 0.749 0.677 O
0.885 0.151 0.982 O
0.910 0.486 0.103 O
0.932 0.969 0.280 O
0.985 0.735 0.470 O

two | Mo2P3O13 | Materials Project | r²SCAN | relaxed; ρ = 3.18 g/cm3; V = 257.57 Å³/f.u.; magnetic moment = 2.0 Bohr magnetons per cell
1.0
6.325 0.000 0.000
1.487 7.350 0.000
0.661 2.473 11.080
Mo P O
4 6 26
Direct
0.198 0.209 0.093 Mo
0.248 0.197 0.595 Mo
0.752 0.803 0.405 Mo
0.802 0.791 0.907 Mo
0.114 0.460 0.318 P
0.258 0.791 0.330 P
0.274 0.941 0.884 P
0.726 0.059 0.116 P
0.742 0.209 0.670 P
0.886 0.540 0.682 P
0.069 0.799 0.420 O
0.103 0.819 0.894 O
0.111 0.456 0.650 O
0.130 0.356 0.218 O
0.182 0.382 0.972 O
0.236 0.104 0.776 O
0.240 0.336 0.427 O
0.244 0.624 0.266 O
0.246 0.966 0.236 O
0.263 0.015 0.999 O
0.322 0.982 0.574 O
0.471 0.733 0.396 O
0.492 0.812 0.879 O
0.508 0.188 0.121 O
0.529 0.267 0.604 O
0.678 0.018 0.426 O
0.737 0.985 0.001 O
0.754 0.034 0.764 O
0.756 0.376 0.734 O
0.760 0.664 0.573 O
0.764 0.896 0.224 O
0.818 0.618 0.028 O
0.870 0.644 0.782 O
0.889 0.544 0.350 O
0.897 0.181 0.106 O
0.931 0.201 0.580 O

The most stable of them is two.

one | MoSeS | Materials Project | r²SCAN | relaxed; ρ = 3.39 g/cm3; V = 101.44 Å³/f.u.; magnetic moment = 0.0 Bohr magnetons per cell
1.0
3.250 0.000 0.000
-1.625 2.814 0.000
0.000 0.000 22.182
Mo Se S
2 2 2
Direct
0.000 0.000 0.000 Mo
0.333 0.667 0.299 Mo
0.000 0.000 0.223 Se
0.000 0.000 0.374 Se
0.333 0.667 0.069 S
0.333 0.667 0.931 S

two | MoSeS | Materials Project | r²SCAN | relaxed; ρ = 5.51 g/cm3; V = 62.38 Å³/f.u.; magnetic moment = 0.0 Bohr magnetons per cell
1.0
3.253 0.000 0.000
-1.626 2.817 0.000
0.000 0.000 13.617
Mo Se S
2 2 2
Direct
0.000 0.000 0.241 Mo
0.000 0.000 0.759 Mo
0.333 0.667 0.635 Se
0.667 0.333 0.365 Se
0.333 0.667 0.871 S
0.667 0.333 0.129 S

The most stable of them is two.

one | MoSeS | Materials Project | r²SCAN | relaxed; ρ = 4.23 g/cm3; V = 81.21 Å³/f.u.; magnetic moment = 0.0 Bohr magnetons per cell
1.0
3.250 0.000 0.000
-1.625 2.815 0.000
0.000 0.000 35.508
Mo Se S
4 4 4
Direct
0.333 0.667 0.094 Mo
0.333 0.667 0.718 Mo
0.667 0.333 0.282 Mo
0.667 0.333 0.906 Mo
0.333 0.667 0.234 Se
0.333 0.667 0.329 Se
0.667 0.333 0.671 Se
0.667 0.333 0.766 Se
0.333 0.667 0.863 S
0.333 0.667 0.949 S
0.667 0.333 0.051 S
0.667 0.333 0.137 S

two | MoSeS | Materials Project | r²SCAN | relaxed; ρ = 3.88 g/cm3; V = 88.68 Å³/f.u.; magnetic moment = 0.0 Bohr magnetons per cell
1.0
19.399 0.000 0.000
0.000 1.624 2.814
0.000 -1.624 2.814
Mo Se S
2 2 2
Direct
0.000 0.000 0.000 Mo
0.500 0.223 0.223 Mo
0.087 0.333 0.333 Se
0.913 0.333 0.333 Se
0.421 0.890 0.890 S
0.579 0.890 0.890 S

The most stable of them is one.

one | Na | Materials Project | r²SCAN | relaxed; ρ = 1.02 g/cm3; V = 37.54 Å³/f.u.; magnetic moment = 0.0 Bohr magnetons per cell
1.0
-1.849 1.849 2.745
1.849 -1.849 2.745
1.849 1.849 -2.745
Na
1
Direct
0.000 0.000 0.000 Na

two | Na | Materials Project | r²SCAN | relaxed; ρ = 1.03 g/cm3; V = 36.94 Å³/f.u.; magnetic moment = 0.0 Bohr magnetons per cell
1.0
3.689 0.000 0.000
-1.844 3.195 0.000
0.000 0.000 6.269
Na
2
Direct
0.333 0.667 0.250 Na
0.667 0.333 0.750 Na

three | Na | Materials Project | r²SCAN | relaxed; ρ = 1.02 g/cm3; V = 37.60 Å³/f.u.; magnetic moment = 0.5 Bohr magnetons per cell
1.0
-4.221 4.221 4.221
4.221 -4.221 4.221
4.221 4.221 -4.221
Na
8
Direct
0.000 0.496 0.500 Na
0.000 0.996 0.500 Na
0.004 0.004 0.004 Na
0.496 0.500 0.000 Na
0.500 0.000 0.496 Na
0.500 0.000 0.996 Na
0.504 0.504 0.504 Na
0.996 0.500 0.000 Na

four | Na | Materials Project | r²SCAN | relaxed; ρ = 1.02 g/cm3; V = 37.54 Å³/f.u.; magnetic moment = 0.0 Bohr magnetons per cell
1.0
6.697 0.000 0.000
0.000 6.697 0.000
0.000 0.000 6.697
Na
8
Direct
0.000 0.000 0.000 Na
0.000 0.250 0.500 Na
0.000 0.750 0.500 Na
0.250 0.500 0.000 Na
0.500 0.000 0.250 Na
0.500 0.000 0.750 Na
0.500 0.500 0.500 Na
0.750 0.500 0.000 Na

The most stable of them is two.

one | Na | Materials Project | r²SCAN | relaxed; ρ = 1.03 g/cm3; V = 37.05 Å³/f.u.; magnetic moment = 0.0 Bohr magnetons per cell
1.0
3.197 -1.857 0.000
3.197 1.857 0.000
-2.174 0.000 9.365
Na
3
Direct
0.000 0.000 0.000 Na
0.222 0.222 0.667 Na
0.778 0.778 0.333 Na

two | Na | Materials Project | r²SCAN | relaxed; ρ = 1.01 g/cm3; V = 37.92 Å³/f.u.; magnetic moment = 0.0 Bohr magnetons per cell
1.0
-6.502 6.502 6.502
6.502 -6.502 6.502
6.502 6.502 -6.502
Na
29
Direct
0.000 0.000 0.000 Na
0.000 0.000 0.636 Na
0.000 0.190 0.375 Na
0.000 0.375 0.190 Na
0.000 0.406 0.682 Na
0.000 0.636 0.000 Na
0.000 0.682 0.406 Na
0.185 0.810 0.810 Na
0.190 0.000 0.375 Na
0.190 0.375 0.000 Na
0.277 0.594 0.594 Na
0.318 0.318 0.723 Na
0.318 0.723 0.318 Na
0.364 0.364 0.364 Na
0.375 0.000 0.190 Na
0.375 0.190 0.000 Na
0.406 0.000 0.682 Na
0.406 0.682 0.000 Na
0.594 0.277 0.594 Na
0.594 0.594 0.277 Na
0.625 0.625 0.815 Na
0.625 0.815 0.625 Na
0.636 0.000 0.000 Na
0.682 0.000 0.406 Na
0.682 0.406 0.000 Na
0.723 0.318 0.318 Na
0.810 0.185 0.810 Na
0.810 0.810 0.185 Na
0.815 0.625 0.625 Na

The most stable of them is one.

one | Na | Materials Project | r²SCAN | relaxed; ρ = 1.01 g/cm3; V = 37.63 Å³/f.u.; magnetic moment = 0.0 Bohr magnetons per cell
1.0
6.581 0.000 0.000
0.000 6.172 0.000
0.000 0.000 7.411
Na
8
Direct
0.091 0.250 0.125 Na
0.095 0.250 0.625 Na
0.405 0.750 0.125 Na
0.409 0.750 0.625 Na
0.591 0.250 0.375 Na
0.595 0.250 0.875 Na
0.905 0.750 0.375 Na
0.909 0.750 0.875 Na

two | Na | Materials Project | r²SCAN | relaxed; ρ = 1.02 g/cm3; V = 37.26 Å³/f.u.; magnetic moment = 0.0 Bohr magnetons per cell
1.0
-2.104 2.104 2.104
2.104 -2.104 2.104
2.104 2.104 -2.104
Na
1
Direct
0.000 0.000 0.000 Na

three | Na | Materials Project | r²SCAN | relaxed; ρ = 1.00 g/cm3; V = 38.14 Å³/f.u.; magnetic moment = 0.0 Bohr magnetons per cell
1.0
9.137 0.000 0.000
0.000 9.137 0.000
0.000 0.000 9.137
Na
20
Direct
0.048 0.125 0.798 Na
0.063 0.937 0.437 Na
0.125 0.798 0.048 Na
0.187 0.187 0.187 Na
0.202 0.548 0.375 Na
0.298 0.452 0.875 Na
0.313 0.813 0.687 Na
0.375 0.202 0.548 Na
0.437 0.063 0.937 Na
0.452 0.875 0.298 Na
0.548 0.375 0.202 Na
0.563 0.563 0.563 Na
0.625 0.702 0.952 Na
0.687 0.313 0.813 Na
0.702 0.952 0.625 Na
0.798 0.048 0.125 Na
0.813 0.687 0.313 Na
0.875 0.298 0.452 Na
0.937 0.437 0.063 Na
0.952 0.625 0.702 Na

The most stable of them is one.